No. 1
# KNdO2

KNdO2 after structural relaxation (GGA-PBE, the Materials Project database).

Calculated values
The calculation puts the formation energy at -11.80 eV per formula unit.

Cell and atoms, written as extended XYZ:
```
8
Lattice="1.8190 -3.1505 0.0000 1.8190 3.1505 0.0000 0.0000 0.0000 12.6931" Properties=species:S:1:pos:R:3 pbc="T T T"
K 1.8190 1.0502 9.5198
K 1.8190 -1.0502 3.1733
Nd 0.0000 0.0000 0.0000
Nd 0.0000 0.0000 6.3465
O 1.8190 1.0502 5.1393
O 1.8190 1.0502 1.2073
O 1.8190 -1.0502 7.5538
O 1.8190 -1.0502 11.4858
```

No. 2
# Ca2GaHg

Ca2GaHg after structural relaxation (GGA-PBE, the Materials Project database).

Calculated values
The calculation puts the formation energy at -1.99 eV per formula unit.

Cell and atoms, written as extended XYZ:
```
4
Lattice="-1.3934 2.4690 4.4599 -3.6769 3.7942 -0.1182 -4.7610 -0.8672 2.1237" Properties=species:S:1:pos:R:3 pbc="T T T"
Ca -7.3735 4.0470 4.8491
Ca -2.4578 1.3490 1.6164
Ga -4.9157 2.6980 3.2327
Hg 0.0000 0.0000 0.0000
```

No. 3
# Mg14SiB

Mg14SiB after structural relaxation (GGA-PBE, the Materials Project database).

Calculated values
The calculation puts the magnetic moment at 0.0 μB/f.u. The calculation puts the formation energy at 2.73 eV per formula unit. As for the relative energy among the computed polymorphs: 0 meV per atom.

Cell and atoms, written as extended XYZ:
```
16
Lattice="-5.4577 -1.0744 -2.9360 5.1088 -3.8364 -0.9786 -2.8565 -5.6894 7.3919" Properties=species:S:1:pos:R:3 pbc="T T T"
Mg -1.0236 -5.0463 3.7672
Mg 1.5348 -6.9604 3.2825
Mg -2.4883 -2.9711 -1.6390
Mg -3.7015 -5.5394 2.3528
Mg -0.0048 -4.8360 -2.1147
Mg -1.1566 -7.4505 1.8653
Mg -1.9137 -2.7311 1.3539
Mg -3.6227 -6.1349 5.7762
Mg 0.7934 -4.7639 0.8354
Mg -0.9156 -8.1677 5.2577
Mg -4.7630 -3.6631 0.1675
Mg -6.1914 -6.5083 3.8641
Mg -2.2012 -5.5655 -0.3453
Mg -3.6468 -8.4448 3.3955
Si 0.4871 -2.1167 0.1684
B 3.1707 -3.9017 -0.1684
```

No. 4
# CsAlPdF6

CsAlPdF6 after structural relaxation (GGA-PBE, the Materials Project database).

Calculated values
The calculation puts the magnetic moment at 2.0 μB/f.u. The calculation puts the formation energy at -26.17 eV per formula unit.

Cell and atoms, written as extended XYZ:
```
36
Lattice="-6.2386 1.0868 3.5909 2.6867 -4.0307 5.8876 3.9290 8.7300 4.1837" Properties=species:S:1:pos:R:3 pbc="T T T"
Cs 3.6285 1.8440 9.4353
Cs -3.2514 3.9421 4.2269
Cs 3.1516 5.7846 7.4142
Cs -2.7745 0.0015 6.2480
Al 3.3078 2.3497 5.0357
Al 0.1885 2.8931 6.8311
Al -3.1193 0.5434 1.7954
Al 0.0000 0.0000 0.0000
Pd 1.4620 -0.5701 6.4021
Pd -1.0849 6.3563 7.2601
Pd 0.0997 1.4031 3.4381
Pd 0.2774 4.3830 10.2241
F -2.8063 5.1474 8.0041
F 0.3353 1.1349 7.2974
F 2.4266 4.9500 10.4176
F 0.7986 0.3400 1.6053
F 3.1834 0.6387 5.6581
F 0.0418 4.6513 6.3648
F -2.0495 0.8361 3.2446
F -0.4215 5.4462 12.0569
F -2.2701 8.0313 8.1433
F -0.2689 -1.7372 7.1973
F 1.0248 3.3647 8.3815
F 2.2684 1.9134 3.6022
F 0.5372 2.4771 11.2523
F -0.1601 3.3090 2.4099
F -0.0104 6.2604 9.1558
F 0.3875 -0.4743 4.5064
F -4.5696 1.0042 2.8258
F 4.9467 4.7819 10.8364
F -1.4515 2.9324 7.6595
F 1.8286 2.8538 6.0027
F -1.8913 3.8727 10.0600
F -0.6477 2.4214 5.2807
F 0.6460 7.5233 6.4649
F 2.6472 -2.2452 5.5189
```

No. 5
# SmTiO3

SmTiO3 after structural relaxation (GGA-PBE, the Materials Project database).

Calculated values
The calculation puts the magnetic moment at 0.0 μB/f.u. The calculation puts the formation energy at -17.22 eV per formula unit.

Cell and atoms, written as extended XYZ:
```
5
Lattice="3.9138 0.0000 0.0000 0.0000 3.9138 0.0000 0.0000 0.0000 3.9138" Properties=species:S:1:pos:R:3 pbc="T T T"
Sm 1.9569 1.9569 1.9569
Ti 0.0000 0.0000 0.0000
O 1.9569 0.0000 0.0000
O 0.0000 1.9569 0.0000
O 0.0000 0.0000 1.9569
```

No. 6
# Na8ZrZn3Si3S3O24

Na8ZrZn3Si3S3O24 after structural relaxation (GGA-PBE, the Materials Project database).

Calculated values
The calculation puts the magnetic moment at 0.0 μB/f.u. The calculation puts the formation energy at -100.04 eV per formula unit.

Cell and atoms, written as extended XYZ:
```
126
Lattice="9.2261 0.0774 -0.0404 -4.5458 8.0246 0.0990 -0.0987 0.2303 22.3009" Properties=species:S:1:pos:R:3 pbc="T T T"
Na 1.2332 8.0913 5.8024
Na 1.7229 3.0744 5.4730
Na -2.8111 5.0317 5.6576
Na 2.9744 5.4240 16.3405
Na 7.3974 3.0204 16.7012
Na 3.4257 0.3374 16.4741
Na 1.2418 2.8526 13.0261
Na -2.9237 5.8494 12.8276
Na 1.6821 7.7814 13.0973
Na -1.7183 7.7170 1.7573
Na 2.9292 5.6286 1.9600
Na -1.1263 2.8116 1.8591
Na 5.9480 5.7573 20.5488
Na 6.2842 0.5831 20.1500
Na 1.4441 2.5085 20.6060
Na 7.5522 2.5978 9.1157
Na 2.8938 0.1776 9.3933
Na 3.3791 5.7082 9.5538
Na 4.6155 8.0875 11.2111
Na 0.0992 0.0975 0.0200
Na 4.6451 2.7627 18.4671
Na 4.7129 2.8230 7.4229
Na -0.0160 5.3148 3.6580
Na 0.0571 5.6381 14.7039
Zr 4.5276 2.9692 21.9375
Zr 4.5393 2.8160 10.7740
Zr -0.0729 5.6604 18.2757
Zn 4.6078 8.0581 7.9153
Zn -0.1360 0.3511 18.9866
Zn 4.5168 8.0470 14.3974
Zn 0.1153 0.0397 3.1936
Zn 4.5254 2.7291 15.0190
Zn 4.5345 2.9377 3.7400
Zn -0.2269 5.2417 0.4319
Zn 0.0078 5.7978 11.5310
Zn -0.1262 5.6712 7.6520
Si 6.4563 0.2372 16.6680
Si 3.0898 0.4087 13.0806
Si 3.1896 5.2056 13.0945
Si 6.0051 5.1884 1.9817
Si 1.8188 2.7630 1.9375
Si -1.4453 3.1474 20.5167
Si -1.4368 8.0010 20.5904
Si 1.4693 7.9355 9.3253
Si -2.7426 5.4175 9.3322
S -1.8267 8.1026 5.6622
S 3.2618 5.7479 5.6073
S 7.8842 2.4345 5.5271
S 1.3282 2.6390 16.7948
S -3.2500 5.8317 16.8499
S 7.3206 2.8838 13.0534
S 5.9876 0.3905 1.9356
S 2.6814 5.5954 20.5341
S 1.3487 3.1133 9.2619
O 1.8604 0.2231 6.7716
O 3.7586 6.4405 6.8283
O 8.2790 1.6920 6.7595
O 1.0230 1.8577 18.0248
O 5.5088 6.5766 18.0406
O 7.3294 0.4043 18.0478
O 2.8432 7.9508 15.4648
O 0.7711 2.0177 15.5865
O -3.4966 6.6244 15.6336
O 3.5818 6.5340 4.3826
O -0.8875 1.6391 4.3425
O -2.6509 8.0068 4.4245
O 6.5106 3.0581 14.2882
O 3.7992 1.0619 14.3890
O 3.5862 4.3479 14.4372
O 5.8140 4.2568 3.3167
O 5.4078 1.0419 3.1353
O 2.6930 2.9152 3.3173
O 2.8936 2.5544 0.6600
O 5.3845 4.3177 0.6694
O 5.6636 1.2171 0.7032
O 3.4971 1.3685 11.7615
O 3.8139 4.3921 11.7777
O 6.3988 2.7427 11.8587
O 1.8666 5.7744 21.7411
O -0.7771 3.7952 21.8342
O -1.1216 7.1122 21.9032
O 1.2900 6.9605 10.6098
O 0.8007 3.7189 10.4849
O -1.7611 5.6151 10.6139
O -1.8799 5.0330 7.9701
O 0.7864 7.2864 7.9725
O 1.0868 3.9278 8.0469
O -1.0664 4.1195 19.2026
O -0.7188 7.2418 19.2712
O 1.8088 5.4426 19.3149
O -3.6638 6.7866 9.2454
O 7.6245 0.2207 9.1073
O 0.8196 1.7269 9.1371
O -0.8607 1.6261 20.4207
O -3.0620 8.1157 20.4023
O 3.6239 6.7157 20.3966
O 8.1229 1.6417 13.0480
O 1.4411 0.3829 13.1380
O 3.9029 6.6882 13.0227
O 5.1891 6.6217 1.9607
O 7.4666 0.3346 1.9517
O 0.8685 1.4172 1.8986
O 5.4858 1.5837 16.5987
O 2.7978 2.8278 16.7675
O 5.4197 4.5425 16.7564
O 3.9241 4.3915 5.6025
O 6.3834 2.5461 5.5730
O 3.6272 1.2749 5.5353
O 3.4609 4.3049 20.5331
O 6.1103 3.1652 20.4977
O 3.8289 1.4786 20.5202
O 5.2528 1.3890 9.3784
O 2.8690 3.0034 9.3229
O 5.4528 4.1886 9.4312
O 0.9752 4.1595 1.8035
O -1.6130 5.3494 1.9218
O 0.8682 7.0646 1.9040
O -0.8299 6.9301 13.0274
O 1.5522 5.2880 12.9903
O -1.0397 3.9880 12.9601
O -0.9950 6.8533 5.7022
O 1.7785 5.5687 5.6429
O -0.7250 3.7153 5.5452
O 0.6849 4.0254 16.8856
O -1.7129 5.6956 16.8688
O 0.9116 6.8737 16.8799
```

No. 7
# La2CuSe2O

La2CuSe2O after structural relaxation (GGA-PBE, the Materials Project database).

Calculated values
The calculation puts the magnetic moment at 0.9 μB/f.u. The calculation puts the formation energy at -4.50 eV per formula unit.

Cell and atoms, written as extended XYZ:
```
6
Lattice="3.7752 0.0000 0.0000 0.0000 3.7752 0.0000 0.0000 0.0000 14.3404" Properties=species:S:1:pos:R:3 pbc="T T T"
La 1.8876 1.8876 9.2874
La 1.8876 1.8876 5.0529
Cu 1.8876 1.8876 0.0000
Se 1.8876 1.8876 2.2240
Se 1.8876 1.8876 12.1164
O 1.8876 1.8876 7.1702
```

No. 8
# Mn6Ni16P7

Mn6Ni16P7 after structural relaxation (GGA-PBE, the Materials Project database).

Calculated values
The calculation puts the magnetic moment at 23.9 μB/f.u. The calculation puts the formation energy at -12.36 eV per formula unit.

Cell and atoms, written as extended XYZ:
```
29
Lattice="5.0288 -5.8763 -0.6037 3.3468 -2.9108 6.3648 -1.9671 -7.0644 2.5315" Properties=species:S:1:pos:R:3 pbc="T T T"
Mn 3.1163 -11.0213 2.7769
Mn 0.0122 -7.3941 3.1496
Mn 6.3963 -8.4574 5.1431
Mn 4.3305 -6.6607 1.2143
Mn 2.0780 -9.1908 7.0783
Mn 3.2922 -4.8302 5.5157
Ni 2.7779 -4.6194 1.1546
Ni 5.3561 -13.2484 6.9309
Ni 1.6040 -7.0322 5.3964
Ni 2.3895 -8.4171 2.1422
Ni 4.8710 -6.4773 3.9323
Ni 4.0190 -7.4344 6.1505
Ni 1.5375 -9.3741 4.3604
Ni 4.8045 -8.8193 2.8963
Ni 3.9524 -9.7764 5.1145
Ni 0.3774 -5.0271 2.2304
Ni 2.2008 -3.6019 3.5458
Ni 6.0311 -10.8244 6.0622
Ni 4.2077 -12.2496 4.7469
Ni 3.6306 -11.2320 7.1380
Ni 1.0524 -2.6031 1.3618
Ni 2.4561 -6.0751 3.1782
P 3.2043 -7.9257 4.1463
P 1.6734 -1.4554 3.1824
P 2.5144 -2.9381 -0.3019
P 0.6898 -4.9876 4.4482
P 1.5309 -6.4704 0.9639
P -0.9835 -3.5322 1.2658
P 4.1878 -4.3935 2.8806
```

No. 9
# CsRb2YBr6

CsRb2YBr6 after structural relaxation (GGA-PBE, the Materials Project database).

Calculated values
The calculation puts the magnetic moment at 0.0 μB/f.u. The calculation puts the formation energy at -21.02 eV per formula unit.

Cell and atoms, written as extended XYZ:
```
10
Lattice="5.5092 -4.4668 -5.1592 2.3860 -8.1592 2.1574 -2.9293 -6.8096 -4.6871" Properties=species:S:1:pos:R:3 pbc="T T T"
Cs 2.4830 -9.7178 -3.8444
Rb 3.7244 -14.5767 -5.7667
Rb 1.2415 -4.8589 -1.9222
Y 0.0000 0.0000 0.0000
Br 4.1446 -6.8346 -4.5663
Br -0.4888 -8.1210 -4.3071
Br 0.8213 -12.6010 -3.1226
Br 2.4297 -8.8620 -0.5490
Br 2.5362 -10.5736 -7.1399
Br 5.4547 -11.3146 -3.3818
```

No. 10
# CsLuP2O7

CsLuP2O7 after structural relaxation (GGA-PBE, the Materials Project database).

Calculated values
The calculation puts the magnetic moment at 0.0 μB/f.u. The calculation puts the formation energy at -34.89 eV per formula unit.

Cell and atoms, written as extended XYZ:
```
44
Lattice="-5.4066 -5.5892 -7.4983 -1.4042 -5.7614 5.3070 -7.5948 2.2906 3.7688" Properties=species:S:1:pos:R:3 pbc="T T T"
Cs -11.2508 -2.8551 -0.5666
Cs -8.0544 -4.6218 -3.2846
Cs -3.1548 -6.2048 2.1440
Cs -6.3512 -4.4382 4.8620
Lu -7.8678 -8.8421 -1.7491
Lu -6.5378 -0.2179 3.3265
Lu -10.0388 -6.0155 2.3909
Lu -4.3668 -3.0445 -0.8135
P -12.3693 -8.1729 0.9393
P -7.5008 -1.4651 0.2105
P -6.9048 -7.5948 1.3669
P -8.8162 -2.6618 2.5674
P -2.0364 -0.8871 0.6381
P -5.5894 -6.3982 -0.9900
P -3.7107 -2.4547 2.4973
P -10.6950 -6.6053 -0.9199
O -9.6701 -7.6829 -1.2589
O -3.2677 -3.2781 3.7091
O -3.4603 -5.1521 6.2933
O -10.1213 -1.8738 2.5178
O -6.1391 -9.9809 -2.3758
O -6.6550 -7.0161 -1.9002
O -4.1313 -3.3732 1.3462
O -4.7356 -1.3771 2.8363
O -7.2192 -8.7282 0.3763
O -8.2665 0.9209 3.9532
O -10.9454 -3.9078 -4.7159
O -12.0553 -7.3935 -0.4600
O -7.7506 -2.0438 3.4776
O -9.9318 -6.7712 4.4690
O -4.2843 -7.1862 -0.9404
O -2.3503 -1.6665 2.0374
O -5.3950 -4.9158 -1.3177
O -6.1796 -6.3903 0.5381
O -11.2508 -7.8250 1.9358
O -4.4739 -2.2887 -2.8916
O -9.0107 -4.1442 2.8951
O -10.2743 -5.6867 0.2312
O -11.1380 -5.7818 -2.1317
O -8.1509 -6.9897 1.9850
O -8.2260 -2.6697 1.0393
O -7.1864 -0.3317 1.2012
O -3.1548 -1.2349 -0.3584
O -6.2547 -2.0702 -0.4075
```

No. 11
# NaAl2Sb

NaAl2Sb after structural relaxation (GGA-PBE, the Materials Project database).

Calculated values
The calculation puts the magnetic moment at 0.0 μB/f.u. The calculation puts the formation energy at 0.72 eV per formula unit.

Cell and atoms, written as extended XYZ:
```
8
Lattice="2.5533 -4.4224 0.0000 2.5533 4.4224 0.0000 0.0000 0.0000 8.6489" Properties=species:S:1:pos:R:3 pbc="T T T"
Na 0.0000 0.0000 4.3245
Na 0.0000 0.0000 0.0000
Al 2.5533 1.4741 3.5371
Al 2.5533 -1.4741 5.1118
Al 2.5533 -1.4741 7.8616
Al 2.5533 1.4741 0.7874
Sb 2.5533 1.4741 6.4867
Sb 2.5533 -1.4741 2.1622
```

No. 12
# AlCuSeS

AlCuSeS after structural relaxation (GGA-PBE, the Materials Project database).

Calculated values
The calculation puts the magnetic moment at 0.0 μB/f.u. The calculation puts the formation energy at -3.33 eV per formula unit.

Cell and atoms, written as extended XYZ:
```
8
Lattice="-4.6914 2.0035 -2.0245 1.2253 -2.0906 -4.9083 -4.2776 -4.6579 -2.1362" Properties=species:S:1:pos:R:3 pbc="T T T"
Al -2.4228 -3.4506 -5.2397
Al -5.9805 -4.6468 -5.6184
Cu -5.4131 -1.4615 -3.7811
Cu -4.2155 -4.5453 -2.1687
Se -1.4981 -1.1773 -1.3987
Se -3.2403 -1.2169 -4.8690
S -3.9078 -4.5500 -6.6061
S -6.8412 -2.5456 -5.2642
```